No. 1
Below is V5S4 after structural relaxation, with properties calculated at the r²SCAN level.

Cell lengths 3.170, 6.518, 12.644 Å; angles 90.00, 90.00, 104.08 degrees
Sites, in units of the cell vectors:
S1 0.668 0.336 0.604
S2 0.896 0.793 0.168
S3 0.604 0.207 0.332
S4 0.332 0.664 0.396
S5 0.832 0.664 0.897
S6 0.396 0.793 0.668
S7 0.104 0.207 0.832
S8 0.168 0.336 0.104
V1 0.500 0.000 0.500
V2 0.040 0.079 0.660
V3 0.460 0.921 0.840
V4 0.840 0.680 0.539
V5 0.160 0.320 0.460
V6 0.960 0.921 0.340
V7 0.340 0.680 0.040
V8 0.000 0.000 0.000
V9 0.540 0.079 0.160
V10 0.660 0.320 0.961

Summary:
**E_form**: -1.02 eV per atom

=====

No. 2
Below is HoPtF7 after structural relaxation, with properties calculated at the r²SCAN level.

Cell lengths 5.404, 8.730, 11.832 Å; angles 62.43, 90.00, 90.00 degrees
Sites, in units of the cell vectors:
F1 0.066 0.705 0.412
F2 0.224 0.478 0.140
F3 0.776 0.522 0.860
F4 0.276 0.478 0.640
F5 0.566 0.295 0.088
F6 0.056 0.746 0.177
F7 0.724 0.522 0.360
F8 0.406 0.966 0.232
F9 0.556 0.254 0.323
F10 0.944 0.254 0.823
F11 0.906 0.034 0.268
F12 0.433 0.274 0.542
F13 0.747 0.021 0.551
F14 0.934 0.295 0.588
F15 0.444 0.746 0.677
F16 0.594 0.034 0.768
F17 0.042 0.277 0.365
F18 0.253 0.979 0.449
F19 0.567 0.726 0.458
F20 0.067 0.274 0.042
F21 0.753 0.021 0.051
F22 0.094 0.966 0.732
F23 0.958 0.723 0.635
F24 0.434 0.705 0.912
F25 0.933 0.726 0.958
F26 0.458 0.277 0.865
F27 0.542 0.723 0.135
F28 0.247 0.979 0.949
Pt1 0.758 0.271 0.958
Pt2 0.258 0.729 0.542
Pt3 0.742 0.271 0.458
Pt4 0.242 0.729 0.042
Ho1 0.239 0.186 0.236
Ho2 0.761 0.814 0.764
Ho3 0.261 0.186 0.736
Ho4 0.739 0.814 0.264

Summary:
**E_form**: -2.82 eV per atom

=====

Q: E_form of number 1 (V5S4)?
A: -1.02 eV per atom